Record 1
{"formula": "BaGdCo2O5", "functional": "PBE+U", "state": "optimized geometry", "lattice": [[3.8689, 0.0000, 0.0000], [0.0000, 3.8689, 0.0000], [0.0000, 0.0000, 7.5816]], "species": ["Ba", "Gd", "Co", "Co", "O", "O", "O", "O", "O"], "fractional_positions": [[0.0000, 0.0000, 0.0000], [0.0000, 0.0000, 0.5000], [0.5000, 0.5000, 0.2605], [0.5000, 0.5000, 0.7395], [0.0000, 0.5000, 0.3076], [0.0000, 0.5000, 0.6924], [0.5000, 0.0000, 0.3076], [0.5000, 0.0000, 0.6924], [0.5000, 0.5000, 0.0000]], "formation_energy_ev_per_atom": -2.3402, "rho_g_cm3": 7.2, "relative_energy_ev_per_atom": 0.005}

=====

Record 2
{"formula": "Ba4Sr2Gd2Co4O15", "functional": "PBE+U", "state": "optimized geometry", "lattice": [[6.8787, 0.0000, 0.0000], [-0.0605, 11.7080, 0.0000], [-0.0655, -5.8472, 10.1764]], "species": ["Ba", "Ba", "Ba", "Ba", "Ba", "Ba", "Ba", "Ba", "Sr", "Sr", "Sr", "Sr", "Gd", "Gd", "Gd", "Gd", "Co", "Co", "Co", "Co", "Co", "Co", "Co", "Co", "O", "O", "O", "O", "O", "O", "O", "O", "O", "O", "O", "O", "O", "O", "O", "O", "O", "O", "O", "O", "O", "O", "O", "O", "O", "O", "O", "O", "O", "O"], "fractional_positions": [[0.0000, 0.0000, 0.0000], [0.0006, 0.4816, 0.0032], [0.3208, 0.1628, 0.8420], [0.4931, 0.1754, 0.3504], [0.4975, 0.6503, 0.3495], [0.5006, 0.6532, 0.8276], [0.8119, 0.4942, 0.5106], [0.9932, 0.0008, 0.5209], [0.1620, 0.3525, 0.2257], [0.3112, 0.8278, 0.1761], [0.6580, 0.8756, 0.6993], [0.8100, 0.8284, 0.1766], [0.1594, 0.7775, 0.6512], [0.1667, 0.3492, 0.6525], [0.6582, 0.3038, 0.1289], [0.6655, 0.3029, 0.6970], [0.3447, 0.4894, 0.5078], [0.4818, 0.9999, 0.5269], [0.4900, 0.0008, 0.9973], [0.4958, 0.4765, 0.9980], [0.8624, 0.1596, 0.8409], [0.9849, 0.1810, 0.3497], [0.9879, 0.6488, 0.3497], [0.9941, 0.6493, 0.8248], [0.9999, 0.2479, 0.7575], [0.0660, 0.7356, 0.9969], [0.0700, 0.7346, 0.2647], [0.0750, 0.0144, 0.2729], [0.1620, 0.5853, 0.4334], [0.1670, 0.3288, 0.4368], [0.1672, 0.5763, 0.6793], [0.3428, 0.8941, 0.5719], [0.3447, 0.8892, 0.8441], [0.3563, 0.1640, 0.5749], [0.3641, 0.4309, 0.8394], [0.3721, 0.1595, 0.1131], [0.3791, 0.4295, 0.1103], [0.4835, 0.6523, 0.5889], [0.4972, 0.4086, 0.5968], [0.5026, 0.4122, 0.3449], [0.5679, 0.6487, 0.0831], [0.5700, 0.9145, 0.0821], [0.5724, 0.9239, 0.3606], [0.6637, 0.0861, 0.6713], [0.6646, 0.0823, 0.9342], [0.6683, 0.3306, 0.9225], [0.8448, 0.2239, 0.2441], [0.8459, 0.4973, 0.2384], [0.8623, 0.2291, 0.5136], [0.8642, 0.4911, 0.7801], [0.8729, 0.7655, 0.5091], [0.8779, 0.7627, 0.7780], [0.9843, 0.2467, 0.0090], [0.9990, 0.9981, 0.7600]], "formation_energy_ev_per_atom": -2.5791, "rho_g_cm3": 6.1}

=====

Record 3
{"formula": "Ba2CoGe2O7", "functional": "PBE+U", "state": "optimized geometry", "lattice": [[8.4929, 0.0000, 0.0000], [-0.0057, 8.4957, 0.0000], [-0.0007, -0.0029, 11.2845]], "species": ["Ba", "Ba", "Ba", "Ba", "Ba", "Ba", "Ba", "Ba", "Co", "Co", "Co", "Co", "Ge", "Ge", "Ge", "Ge", "Ge", "Ge", "Ge", "Ge", "O", "O", "O", "O", "O", "O", "O", "O", "O", "O", "O", "O", "O", "O", "O", "O", "O", "O", "O", "O", "O", "O", "O", "O", "O", "O", "O", "O"], "fractional_positions": [[0.0000, 0.0000, 0.0000], [0.0000, 0.9999, 0.5002], [0.1682, 0.4998, 0.0087], [0.1686, 0.4998, 0.5086], [0.4997, 0.8311, 0.0084], [0.5000, 0.8311, 0.5085], [0.6682, 0.3310, 0.0002], [0.6683, 0.3311, 0.5000], [0.3340, 0.1655, 0.7542], [0.3340, 0.1658, 0.2542], [0.8343, 0.6657, 0.7543], [0.8347, 0.6657, 0.2543], [0.1936, 0.8063, 0.7737], [0.1941, 0.8067, 0.2735], [0.4750, 0.5247, 0.2734], [0.4749, 0.5247, 0.7736], [0.6927, 0.0246, 0.2351], [0.6932, 0.0246, 0.7349], [0.9747, 0.3058, 0.2352], [0.9747, 0.3064, 0.7350], [0.0182, 0.7462, 0.3471], [0.0178, 0.7456, 0.8475], [0.1501, 0.2450, 0.1610], [0.1503, 0.2452, 0.6613], [0.1963, 0.8034, 0.6192], [0.1967, 0.8036, 0.1189], [0.2551, 0.9818, 0.8477], [0.2555, 0.9820, 0.3477], [0.3340, 0.6652, 0.8353], [0.3344, 0.6655, 0.3352], [0.4137, 0.3494, 0.3475], [0.4140, 0.3490, 0.8473], [0.4712, 0.5272, 0.1187], [0.4718, 0.5275, 0.6191], [0.5175, 0.0852, 0.6610], [0.5176, 0.0861, 0.1609], [0.6509, 0.5851, 0.3471], [0.6507, 0.5856, 0.8474], [0.6960, 0.0281, 0.3898], [0.6962, 0.0277, 0.8894], [0.7527, 0.8486, 0.1615], [0.7545, 0.8490, 0.6610], [0.8342, 0.1646, 0.1734], [0.8338, 0.1655, 0.6734], [0.9134, 0.4812, 0.1614], [0.9137, 0.4818, 0.6610], [0.9723, 0.3028, 0.3898], [0.9718, 0.3035, 0.8895]], "formation_energy_ev_per_atom": -2.4937, "rho_g_cm3": 4.8}

=====

Record 4
{"formula": "BaHoMgCo2O6", "functional": "PBE+U", "state": "optimized geometry", "lattice": [[3.7177, 0.0000, 0.0000], [0.0000, 3.9288, 0.0000], [0.0000, 0.0000, 11.0130]], "species": ["Ba", "Ho", "Mg", "Co", "Co", "O", "O", "O", "O", "O", "O"], "fractional_positions": [[0.0000, 0.0000, 0.0000], [0.0000, 0.0000, 0.6753], [0.0000, 0.0000, 0.2976], [0.5000, 0.5000, 0.2009], [0.5000, 0.5000, 0.8042], [0.0000, 0.5000, 0.2824], [0.0000, 0.5000, 0.8005], [0.5000, 0.0000, 0.2265], [0.5000, 0.0000, 0.7949], [0.5000, 0.5000, 0.0221], [0.5000, 0.5000, 0.6195]], "formation_energy_ev_per_atom": -2.2132, "rho_g_cm3": 5.6, "relative_energy_ev_per_atom": 0.000}